Arrangement i

{
  "formula": "TlW6O18",
  "functional": "PBE+U",
  "state": "relaxed",
  "lattice": [[7.5116, 0.0000, 0.0000], [-3.7558, 6.5052, 0.0000], [0.0000, 0.0000, 7.6355]],
  "species": ["O", "O", "O", "O", "O", "O", "O", "O", "O", "O", "O", "O", "O", "O", "O", "O", "O", "O", "W", "W", "W", "W", "W", "W", "Tl"],
  "fractional_positions": [[0.0000, 0.5038, 0.4993], [0.2160, 0.7907, 0.7487], [0.0000, 0.4970, 0.9994], [0.4970, 0.0000, 0.9994], [0.7844, 0.2096, 0.2514], [0.2156, 0.4252, 0.2514], [0.4253, 0.2093, 0.7487], [0.7907, 0.2160, 0.7487], [0.2093, 0.4253, 0.7487], [0.2096, 0.7844, 0.2514], [0.7840, 0.5747, 0.7487], [0.4252, 0.2156, 0.2514], [0.5747, 0.7840, 0.7487], [0.5030, 0.5030, 0.9994], [0.7904, 0.5748, 0.2514], [0.5038, 0.0000, 0.4993], [0.4962, 0.4962, 0.4993], [0.5748, 0.7904, 0.2514], [0.0000, 0.5248, 0.7495], [0.5244, 0.5244, 0.2477], [0.4752, 0.4752, 0.7495], [0.4756, 0.0000, 0.2477], [0.5248, 0.0000, 0.7495], [0.0000, 0.4756, 0.2477], [0.0000, 0.0000, 0.4999]],
  "spacegroup": "P31m"
}


Arrangement ii

{
  "formula": "TlW6O18",
  "functional": "PBE+U",
  "state": "relaxed",
  "lattice": [[3.7604, -6.5133, 0.0000], [3.7604, 6.5133, 0.0000], [0.0000, 0.0000, 7.7301]],
  "species": ["O", "O", "O", "O", "O", "O", "O", "O", "O", "O", "O", "O", "O", "O", "O", "O", "O", "O", "W", "W", "W", "W", "W", "W", "Tl"],
  "fractional_positions": [[0.5000, 0.0000, 0.5000], [0.7879, 0.5757, 0.7488], [0.4243, 0.2121, 0.7488], [0.7879, 0.5757, 0.2512], [0.5000, 0.0000, 0.0000], [0.5757, 0.7879, 0.2512], [0.4243, 0.2121, 0.2512], [0.5000, 0.5000, 0.0000], [0.5757, 0.7879, 0.7488], [0.0000, 0.5000, 0.5000], [0.5000, 0.5000, 0.5000], [0.7879, 0.2121, 0.7488], [0.2121, 0.4243, 0.7488], [0.0000, 0.5000, 0.0000], [0.2121, 0.4243, 0.2512], [0.2121, 0.7879, 0.2512], [0.7879, 0.2121, 0.2512], [0.2121, 0.7879, 0.7488], [0.0000, 0.5000, 0.2500], [0.5000, 0.0000, 0.7500], [0.5000, 0.0000, 0.2500], [0.5000, 0.5000, 0.7500], [0.5000, 0.5000, 0.2500], [0.0000, 0.5000, 0.7500], [0.0000, 0.0000, 0.5000]],
  "spacegroup": "P6/mmm"
}


It is arrangement ii that is the most stable of them.


Arrangement i

{
  "formula": "V6O13",
  "functional": "PBE+U",
  "state": "relaxed",
  "lattice": [[3.7551, 0.0000, 0.0000], [0.0000, 10.2590, 0.0000], [0.0000, 2.2885, 11.9511]],
  "species": ["V", "V", "V", "V", "V", "V", "V", "V", "V", "V", "V", "V", "O", "O", "O", "O", "O", "O", "O", "O", "O", "O", "O", "O", "O", "O", "O", "O", "O", "O", "O", "O", "O", "O", "O", "O", "O", "O"],
  "fractional_positions": [[0.0021, 0.6358, 0.4132], [0.9979, 0.3642, 0.5868], [0.5021, 0.3642, 0.0868], [0.4984, 0.3664, 0.7852], [0.9984, 0.6336, 0.7148], [0.9670, 0.9965, 0.6486], [0.5330, 0.9965, 0.1486], [0.5016, 0.6336, 0.2148], [0.4979, 0.6358, 0.9132], [0.4670, 0.0035, 0.8514], [0.0330, 0.0035, 0.3514], [0.0016, 0.3664, 0.2852], [0.0106, 0.9999, 0.1833], [0.4996, 0.4088, 0.9397], [0.5106, 0.0001, 0.3167], [0.0079, 0.1984, 0.3224], [0.9986, 0.4116, 0.7459], [0.5079, 0.8016, 0.1776], [0.0016, 0.3864, 0.1185], [0.9984, 0.6136, 0.8815], [0.4986, 0.5884, 0.7541], [0.4933, 0.8017, 0.8861], [0.9894, 0.0001, 0.8167], [0.5014, 0.4116, 0.2459], [0.4921, 0.1984, 0.8224], [0.9921, 0.8016, 0.6776], [0.5067, 0.1983, 0.1139], [0.4984, 0.3864, 0.6185], [0.0000, 0.0000, 0.5000], [0.5016, 0.6136, 0.3815], [0.0004, 0.4088, 0.4397], [0.0014, 0.5884, 0.2541], [0.9933, 0.1983, 0.6139], [0.5004, 0.5912, 0.0603], [0.4894, 0.9999, 0.6833], [0.5000, 0.0000, 0.0000], [0.0067, 0.8017, 0.3861], [0.9996, 0.5912, 0.5603]],
  "spacegroup": "P2_1/c"
}


Arrangement ii

{
  "formula": "V6O13",
  "functional": "PBE+U",
  "state": "relaxed",
  "lattice": [[-2.1878, -0.1512, 3.0608], [8.5448, -5.4823, 5.8368], [-0.3233, 11.7010, 0.3469]],
  "species": ["O", "O", "O", "O", "O", "O", "O", "O", "O", "O", "O", "O", "O", "O", "O", "O", "O", "O", "O", "O", "O", "O", "O", "O", "O", "O", "V", "V", "V", "V", "V", "V", "V", "V", "V", "V", "V", "V"],
  "fractional_positions": [[0.7500, 0.2253, 0.1298], [0.2500, 0.1298, 0.2253], [0.2500, 0.5703, 0.0703], [0.7500, 0.4987, 0.1971], [0.2500, 0.9297, 0.4297], [0.7500, 0.8029, 0.5013], [0.7500, 0.0703, 0.5703], [0.2500, 0.7253, 0.6298], [0.7500, 0.0013, 0.3029], [0.2500, 0.3029, 0.0013], [0.7500, 0.5523, 0.4477], [0.2500, 0.5013, 0.8029], [0.2500, 0.2500, 0.7500], [0.7500, 0.4297, 0.9297], [0.2500, 0.1971, 0.4987], [0.2500, 0.0523, 0.9477], [0.2500, 0.4477, 0.5523], [0.7500, 0.9477, 0.0523], [0.2500, 0.3702, 0.2747], [0.2500, 0.7747, 0.8702], [0.7500, 0.8702, 0.7747], [0.7500, 0.2747, 0.3702], [0.7500, 0.7500, 0.2500], [0.7500, 0.6298, 0.7253], [0.7500, 0.6971, 0.9987], [0.2500, 0.9987, 0.6971], [0.2500, 0.5808, 0.7148], [0.7500, 0.7852, 0.9192], [0.7500, 0.6006, 0.1006], [0.7500, 0.7148, 0.5808], [0.2500, 0.2148, 0.0808], [0.2500, 0.2852, 0.4192], [0.7500, 0.0808, 0.2148], [0.7500, 0.4192, 0.2852], [0.7500, 0.8994, 0.3994], [0.2500, 0.3994, 0.8994], [0.2500, 0.1006, 0.6006], [0.2500, 0.9192, 0.7852]]
}


It is arrangement i that is the most stable of them.


Arrangement i

{
  "formula": "V6O13",
  "functional": "PBE+U",
  "state": "relaxed",
  "lattice": [[-0.0879, 9.6585, 6.6647], [-1.0890, -10.3843, 5.3566], [3.7359, -0.2096, 0.3531]],
  "species": ["V", "V", "V", "V", "V", "V", "V", "V", "V", "V", "V", "V", "O", "O", "O", "O", "O", "O", "O", "O", "O", "O", "O", "O", "O", "O", "O", "O", "O", "O", "O", "O", "O", "O", "O", "O", "O", "O"],
  "fractional_positions": [[0.9007, 0.9007, 0.2500], [0.4150, 0.7800, 0.2500], [0.2892, 0.9223, 0.7500], [0.9223, 0.2892, 0.7500], [0.7108, 0.0777, 0.2500], [0.6022, 0.6022, 0.2500], [0.2200, 0.5850, 0.7500], [0.5850, 0.2200, 0.7500], [0.0993, 0.0993, 0.7500], [0.3978, 0.3978, 0.7500], [0.0777, 0.7108, 0.2500], [0.7800, 0.4150, 0.2500], [0.8025, 0.0030, 0.2500], [0.9970, 0.1975, 0.7500], [0.5683, 0.5683, 0.7500], [0.2249, 0.6317, 0.2500], [0.5573, 0.9528, 0.2500], [0.7751, 0.3683, 0.7500], [0.4317, 0.4317, 0.2500], [0.3683, 0.7751, 0.7500], [0.4427, 0.0472, 0.7500], [0.0030, 0.8025, 0.2500], [0.6955, 0.4983, 0.2500], [0.7454, 0.7454, 0.2500], [0.9271, 0.9271, 0.7500], [0.5017, 0.3045, 0.7500], [0.1282, 0.7248, 0.7500], [0.0729, 0.0729, 0.2500], [0.3045, 0.5017, 0.7500], [0.2546, 0.2546, 0.7500], [0.7248, 0.1282, 0.7500], [0.6317, 0.2249, 0.2500], [0.1975, 0.9970, 0.7500], [0.0472, 0.4427, 0.7500], [0.8718, 0.2752, 0.2500], [0.4983, 0.6955, 0.2500], [0.2752, 0.8718, 0.2500], [0.9528, 0.5573, 0.2500]],
  "spacegroup": "Cmcm"
}


Arrangement ii

{
  "formula": "V6O13",
  "functional": "PBE+U",
  "state": "relaxed",
  "lattice": [[-6.0948, -0.8201, -1.4735], [4.4257, -0.8668, 4.4331], [-0.4807, 9.0248, 4.8729]],
  "species": ["O", "O", "O", "O", "O", "O", "O", "O", "O", "O", "O", "O", "O", "V", "V", "V", "V", "V", "V"],
  "fractional_positions": [[0.3249, 0.6751, 0.8013], [0.8125, 0.1875, 0.9998], [0.5000, 0.5000, 0.0000], [0.8810, 0.1190, 0.3841], [0.5607, 0.4393, 0.4115], [0.6751, 0.3249, 0.1987], [0.6122, 0.3878, 0.8018], [0.2531, 0.7469, 0.4104], [0.1875, 0.8125, 0.0002], [0.7469, 0.2531, 0.5896], [0.3878, 0.6122, 0.1982], [0.4393, 0.5607, 0.5885], [0.1189, 0.8810, 0.6159], [0.2852, 0.7148, 0.6337], [0.3491, 0.6509, 0.9966], [0.5875, 0.4125, 0.6357], [0.6509, 0.3491, 0.0034], [0.7148, 0.2852, 0.3663], [0.4125, 0.5875, 0.3643]],
  "spacegroup": "C2/m"
}


It is arrangement ii that is the most stable of them.


Arrangement i

{
  "formula": "V6O13",
  "functional": "PBE+U",
  "state": "relaxed",
  "lattice": [[-2.4884, -2.6755, -0.8130], [3.4489, -5.6138, 7.9176], [-7.2088, 3.9868, 8.9442]],
  "species": ["O", "O", "O", "O", "O", "O", "O", "O", "O", "O", "O", "O", "O", "O", "O", "O", "O", "O", "O", "O", "O", "O", "O", "O", "O", "O", "V", "V", "V", "V", "V", "V", "V", "V", "V", "V", "V", "V"],
  "fractional_positions": [[0.2500, 0.1981, 0.0724], [0.7500, 0.0004, 0.7543], [0.7500, 0.0005, 0.0665], [0.7500, 0.1984, 0.5737], [0.2500, 0.5910, 0.3101], [0.7500, 0.4090, 0.6899], [0.2500, 0.1979, 0.3631], [0.2500, 0.9996, 0.2457], [0.7500, 0.4106, 0.9965], [0.7500, 0.5896, 0.5035], [0.2500, 0.4090, 0.1895], [0.2500, 0.6154, 0.6302], [0.7500, 0.8019, 0.9276], [0.7500, 0.8021, 0.6369], [0.2500, 0.3852, 0.8699], [0.2500, 0.9996, 0.5717], [0.7500, 0.1979, 0.8644], [0.7500, 0.6148, 0.1301], [0.2500, 0.9995, 0.9335], [0.2500, 0.4104, 0.4965], [0.7500, 0.3846, 0.3698], [0.7500, 0.5910, 0.8105], [0.2500, 0.8021, 0.1356], [0.2500, 0.5894, 0.0035], [0.7500, 0.0004, 0.4283], [0.2500, 0.8016, 0.4263], [0.7500, 0.3651, 0.5366], [0.7500, 0.0008, 0.5998], [0.7500, 0.3639, 0.8373], [0.7500, 0.9984, 0.8970], [0.2500, 0.6349, 0.4634], [0.2500, 0.9992, 0.4002], [0.2500, 0.3639, 0.3370], [0.7500, 0.6347, 0.9637], [0.2500, 0.0016, 0.1030], [0.2500, 0.3653, 0.0363], [0.2500, 0.6361, 0.1627], [0.7500, 0.6361, 0.6630]],
  "spacegroup": "P2_1/m"
}


Arrangement ii

{
  "formula": "V6O13",
  "functional": "PBE+U",
  "state": "relaxed",
  "lattice": [[1.8710, 6.0857, 0.0000], [-1.8710, 6.0857, 0.0000], [0.0000, 1.9525, 10.1062]],
  "species": ["V", "V", "V", "V", "V", "V", "O", "O", "O", "O", "O", "O", "O", "O", "O", "O", "O", "O", "O"],
  "fractional_positions": [[0.6591, 0.6591, 0.6322], [0.9598, 0.9598, 0.6309], [0.5327, 0.5327, 0.3612], [0.8334, 0.8334, 0.3600], [0.5931, 0.5931, 0.9982], [0.8910, 0.8910, 0.9947], [0.0684, 0.0684, 0.9958], [0.6864, 0.6864, 0.4042], [0.5703, 0.5703, 0.1940], [0.7509, 0.7509, 0.9966], [0.9926, 0.9926, 0.4067], [0.4997, 0.4997, 0.5856], [0.4286, 0.4286, 0.9961], [0.9242, 0.9242, 0.7983], [0.6338, 0.6338, 0.7980], [0.8063, 0.8063, 0.5865], [0.1260, 0.1260, 0.6115], [0.3659, 0.3659, 0.3806], [0.8616, 0.8616, 0.1935]],
  "spacegroup": "Cm"
}


It is arrangement i that is the most stable of them.


Arrangement i

{
  "formula": "V7O3",
  "functional": "PBE+U",
  "state": "relaxed",
  "lattice": [[5.2216, 1.1001, -0.5717], [-0.3707, 4.9746, -1.9145], [-0.6313, -2.3212, 6.4888]],
  "species": ["V", "V", "V", "V", "V", "V", "V", "O", "O", "O"],
  "fractional_positions": [[0.6420, 0.2862, 0.0772], [0.7839, 0.5715, 0.6396], [0.9264, 0.8648, 0.2242], [0.0736, 0.1352, 0.7758], [0.5000, 0.0000, 0.5000], [0.3580, 0.7138, 0.9228], [0.2161, 0.4285, 0.3604], [0.7194, 0.4301, 0.8621], [0.2806, 0.5699, 0.1379], [0.0000, 0.0000, 0.0000]],
  "spacegroup": "P-1"
}


Arrangement ii

{
  "formula": "V7O3",
  "functional": "PBE+U",
  "state": "relaxed",
  "lattice": [[1.5705, 5.1443, 0.0000], [-1.5705, 5.1443, 0.0000], [0.0000, 0.3273, 8.8406]],
  "species": ["V", "V", "V", "V", "V", "V", "V", "O", "O", "O"],
  "fractional_positions": [[0.6374, 0.6374, 0.9183], [0.2010, 0.2010, 0.6281], [0.9200, 0.9200, 0.7704], [0.3626, 0.3626, 0.0817], [0.7990, 0.7990, 0.3719], [0.0800, 0.0800, 0.2296], [0.5000, 0.5000, 0.5000], [0.2815, 0.2815, 0.8542], [0.7185, 0.7185, 0.1458], [0.0000, 0.0000, 0.0000]],
  "spacegroup": "C2/m"
}


It is arrangement i that is the most stable of them.


Arrangement i

{
  "formula": "V3O5",
  "functional": "PBE+U",
  "state": "relaxed",
  "lattice": [[0.0297, 5.1890, -0.0061], [3.4141, 2.6184, -3.8083], [-6.6820, -0.0355, -2.3877]],
  "species": ["O", "O", "O", "O", "O", "O", "O", "O", "O", "O", "V", "V", "V", "V", "V", "V"],
  "fractional_positions": [[0.7030, 0.4909, 0.7471], [0.7650, 0.6542, 0.4376], [0.1563, 0.8971, 0.6667], [0.9336, 0.3377, 0.0521], [0.2970, 0.5091, 0.2529], [0.2350, 0.3458, 0.5624], [0.0664, 0.6623, 0.9479], [0.4749, 0.8721, 0.1615], [0.8437, 0.1029, 0.3333], [0.5251, 0.1279, 0.8385], [0.1301, 0.2376, 0.7770], [0.1303, 0.2412, 0.2795], [0.5000, 0.5000, 0.5000], [0.5000, 0.5000, 0.0000], [0.8697, 0.7588, 0.7205], [0.8699, 0.7624, 0.2230]],
  "spacegroup": "P-1"
}


Arrangement ii

{
  "formula": "V3O5",
  "functional": "PBE+U",
  "state": "relaxed",
  "lattice": [[-0.9534, -2.3316, -4.5242], [1.7653, 2.6918, -4.7233], [4.6255, -5.1325, 1.6719]],
  "species": ["O", "O", "O", "O", "O", "O", "O", "O", "O", "O", "V", "V", "V", "V", "V", "V"],
  "fractional_positions": [[0.8347, 0.1304, 0.3425], [0.7023, 0.5000, 0.7500], [0.0733, 0.6624, 0.9339], [0.4652, 0.8695, 0.1575], [0.7721, 0.6630, 0.4539], [0.9352, 0.3370, 0.0462], [0.3008, 0.5000, 0.2500], [0.1458, 0.8899, 0.6692], [0.2357, 0.3376, 0.5660], [0.5357, 0.1102, 0.8308], [0.4995, 0.5016, 0.0008], [0.8708, 0.7589, 0.7225], [0.8688, 0.7607, 0.2184], [0.5011, 0.4984, 0.4992], [0.1295, 0.2392, 0.2816], [0.1297, 0.2411, 0.7775]],
  "spacegroup": "C2"
}


It is arrangement i that is the most stable of them.